[1]
Ac: relaxed, PBE-GGA.

Unit cell a=4.004 b=4.004 c=4.004 alpha=60.00 beta=60.00 gamma=60.00
Fractional coordinates of all 1 atoms:
Ac1 0.000 0.000 0.000

**Crystal system**: cubic
**Polymorph energy (0 for the lowest one)**: 20 meV per atom
**Space group**: No. 225
**DFT formation energy**: 0.0 eV per formula unit
**Energy**: -0.151 hartree per atom


[2]
Ac: relaxed, PBE-GGA.

Unit cell a=4.003 b=4.003 c=9.804 alpha=90.00 beta=90.00 gamma=120.00
Fractional coordinates of all 3 atoms:
Ac1 0.000 0.345 0.167
Ac2 0.345 0.000 0.833
Ac3 0.655 0.655 0.500

**Crystal system**: trigonal
**Polymorph energy (0 for the lowest one)**: 16 meV per atom
**Space group**: No. 152
**DFT formation energy**: 0.0 eV per formula unit
**Energy**: -0.151 hartree per atom
**Magnetic moment**: 0.0 μB per formula unit


[3]
Ac: relaxed, PBE-GGA.

Unit cell a=4.021 b=4.021 c=13.003 alpha=90.00 beta=90.00 gamma=120.00
Fractional coordinates of all 4 atoms:
Ac1 0.000 0.000 0.000
Ac2 0.000 0.000 0.500
Ac3 0.333 0.667 0.250
Ac4 0.667 0.333 0.750

**Crystal system**: hexagonal
**Polymorph energy (0 for the lowest one)**: 0 meV per atom
**Space group**: No. 194
**DFT formation energy**: 0.0 eV per formula unit
**Energy**: -0.151 hartree per atom


Number 3 is which compound?
Ac